Record 1
Density functional theory data (meta-GGA r2SCAN) for crystalline Ho2ZnIn at its relaxed geometry.

Calculated values
ρ: 8.80 g/cm3
DFT formation energy: -482 meV per atom
Calculated total energy: -24.79 eV/atom

Geometry as CIF:
```
data_Ho2ZnIn
_chemical_formula_sum 'Ho8 Zn4 In4'
_cell_length_a 7.2758
_cell_length_b 7.2758
_cell_length_c 7.2758
_cell_angle_alpha 90.00
_cell_angle_beta 90.00
_cell_angle_gamma 90.00
_space_group_name_H-M_alt 'F m -3 m'
_space_group_IT_number 225
_space_group_name_Hall '-F 4 2 3'
loop_
_atom_site_label
_atom_site_type_symbol
_atom_site_fract_x
_atom_site_fract_y
_atom_site_fract_z
Ho1 Ho 0.2500 0.2500 0.2500
Zn1 Zn 0.0000 0.0000 0.0000
In1 In 0.0000 0.0000 0.5000
```

---

Record 2
Density functional theory data (meta-GGA r2SCAN) for crystalline Ho3Ir at its relaxed geometry.

Calculated values
ρ: 10.91 g/cm3
DFT formation energy: -677 meV per atom
Calculated total energy: -38.43 eV/atom

Geometry as CIF:
```
data_Ho3Ir
_chemical_formula_sum 'Ho12 Ir4'
_cell_length_a 7.1729
_cell_length_b 9.1178
_cell_length_c 6.3944
_cell_angle_alpha 90.00
_cell_angle_beta 90.00
_cell_angle_gamma 90.00
_space_group_name_H-M_alt 'P n m a'
_space_group_IT_number 62
loop_
_space_group_symop_operation_xyz
'x,y,z'
'-x,-y,-z'
'-x+1/2,-y,z+1/2'
'x+1/2,y,-z+1/2'
'x+1/2,-y+1/2,-z+1/2'
'-x+1/2,y+1/2,z+1/2'
'-x,y+1/2,-z'
'x,-y+1/2,z'
loop_
_atom_site_label
_atom_site_type_symbol
_atom_site_fract_x
_atom_site_fract_y
_atom_site_fract_z
Ho1 Ho 0.0367 0.2500 0.1273
Ho2 Ho 0.1753 0.0630 0.6776
Ir1 Ir 0.1136 0.7500 0.4624
```

---

Record 3
Density functional theory data (meta-GGA r2SCAN) for crystalline LiHo2Ir at its relaxed geometry.

Calculated values
ρ: 10.79 g/cm3
DFT formation energy: -674 meV per atom
Calculated total energy: -30.80 eV/atom

Geometry as CIF:
```
data_LiHo2Ir
_chemical_formula_sum 'Li4 Ho8 Ir4'
_cell_length_a 6.8798
_cell_length_b 6.8798
_cell_length_c 6.8798
_cell_angle_alpha 90.00
_cell_angle_beta 90.00
_cell_angle_gamma 90.00
_space_group_name_H-M_alt 'F m -3 m'
_space_group_IT_number 225
_space_group_name_Hall '-F 4 2 3'
loop_
_atom_site_label
_atom_site_type_symbol
_atom_site_fract_x
_atom_site_fract_y
_atom_site_fract_z
Li1 Li 0.0000 0.0000 0.0000
Ho1 Ho 0.2500 0.2500 0.2500
Ir1 Ir 0.0000 0.0000 0.5000
```

---

Record 4
Density functional theory data (meta-GGA r2SCAN) for crystalline HoLuIr2 at its relaxed geometry.

Calculated values
ρ: 15.85 g/cm3
DFT formation energy: -1041 meV per atom
Calculated total energy: -44.96 eV/atom

Geometry as CIF:
```
data_HoLuIr2
_chemical_formula_sum 'Ho4 Lu4 Ir8'
_cell_length_a 6.7207
_cell_length_b 6.7207
_cell_length_c 6.7207
_cell_angle_alpha 90.00
_cell_angle_beta 90.00
_cell_angle_gamma 90.00
_space_group_name_H-M_alt 'F m -3 m'
_space_group_IT_number 225
_space_group_name_Hall '-F 4 2 3'
loop_
_atom_site_label
_atom_site_type_symbol
_atom_site_fract_x
_atom_site_fract_y
_atom_site_fract_z
Ho1 Ho 0.0000 0.0000 0.0000
Lu1 Lu 0.0000 0.0000 0.5000
Ir1 Ir 0.2500 0.2500 0.2500
```